(1)
Crystalline MgSbO3 at its relaxed geometry. Source: the Materials Project database, functional GGA-PBE.

Cell: 5.550 7.950 5.565 Å, 90.00 91.81 90.00°
Space group P2_1/m (No. 11)
Inequivalent atoms, fractional coordinates:
Mg 0.009 0.250 0.033 [2 per cell]
Mg 0.479 0.250 0.526 [2 per cell]
Sb 0.000 0.000 0.500 [2 per cell]
Sb 0.500 0.000 0.000 [2 per cell]
O 0.138 0.250 0.384 [2 per cell]
O 0.190 0.570 0.149 [4 per cell]
O 0.361 0.569 0.682 [4 per cell]
O 0.362 0.250 0.903 [2 per cell]

Calculated values
As for the MP2020-corrected energy: -125.89 eV per cell.


(2)
Crystalline MgSb4O8 at its relaxed geometry. Source: the Materials Project database, functional GGA-PBE.

Cell: 3.247 8.146 8.487 Å, 111.77 96.61 95.11°
Space group P1 (No. 1)
Inequivalent atoms, fractional coordinates:
Mg 0.000 0.000 0.000 [1 per cell]
Sb 0.043 0.980 0.352 [1 per cell]
Sb 0.341 0.697 0.609 [1 per cell]
Sb 0.632 0.347 0.218 [1 per cell]
Sb 0.807 0.355 0.765 [1 per cell]
O 0.105 0.200 0.271 [1 per cell]
O 0.145 0.469 0.168 [1 per cell]
O 0.323 0.490 0.715 [1 per cell]
O 0.493 0.916 0.170 [1 per cell]
O 0.523 0.151 0.988 [1 per cell]
O 0.675 0.150 0.543 [1 per cell]
O 0.746 0.507 0.463 [1 per cell]
O 0.907 0.788 0.784 [1 per cell]

Calculated values
As for the MP2020-corrected energy: -81.56 eV per cell. The relative energy among the computed polymorphs comes out at 8 meV per atom.


(3)
Crystalline MgSb2O at its relaxed geometry. Source: the Materials Project database, functional GGA-PBE.

Cell: 9.389 16.210 7.060 Å, 90.00 90.81 90.00°
Space group C2/m (No. 12)
Inequivalent atoms, fractional coordinates:
Mg 0.163 0.163 0.461 [8 per cell]
Mg 0.172 0.500 0.462 [4 per cell]
Sb 0.000 0.000 0.000 [2 per cell]
Sb 0.000 0.000 0.500 [2 per cell]
Sb 0.000 0.333 0.000 [4 per cell]
Sb 0.000 0.333 0.500 [4 per cell]
Sb 0.160 0.500 0.045 [4 per cell]
Sb 0.171 0.170 0.044 [8 per cell]
O 0.091 0.091 0.658 [8 per cell]
O 0.179 0.000 0.343 [4 per cell]

Calculated values
As for the MP2020-corrected energy: -211.46 eV per cell. The relative energy among the computed polymorphs comes out at 59 meV per atom.


(4)
Crystalline MgSb2O at its relaxed geometry. Source: the Materials Project database, functional GGA-PBE.

Cell: 9.568 16.554 6.478 Å, 90.00 90.15 90.00°
Space group C2/m (No. 12)
Inequivalent atoms, fractional coordinates:
Mg 0.141 0.000 0.363 [4 per cell]
Mg 0.180 0.320 0.361 [8 per cell]
Sb 0.000 0.167 0.000 [4 per cell]
Sb 0.000 0.167 0.500 [4 per cell]
Sb 0.000 0.500 0.000 [2 per cell]
Sb 0.000 0.500 0.500 [2 per cell]
Sb 0.126 0.000 0.877 [4 per cell]
Sb 0.186 0.313 0.877 [8 per cell]
O 0.080 0.419 0.300 [8 per cell]
O 0.163 0.500 0.701 [4 per cell]

Calculated values
As for the MP2020-corrected energy: -214.31 eV per cell. The relative energy among the computed polymorphs comes out at 0 meV per atom.


(5)
Crystalline MgSbO3 at its relaxed geometry. Source: the Materials Project database, functional GGA-PBE.

Cell: 5.470 5.543 9.717 Å, 90.00 123.77 90.00°
Space group P2_1/c (No. 14)
Inequivalent atoms, fractional coordinates:
Mg 0.234 0.033 0.245 [4 per cell]
Sb 0.000 0.000 0.500 [2 per cell]
Sb 0.500 0.000 0.000 [2 per cell]
O 0.135 0.105 0.772 [4 per cell]
O 0.247 0.654 0.565 [4 per cell]
O 0.441 0.187 0.584 [4 per cell]

Calculated values
As for the MP2020-corrected energy: -126.68 eV per cell.


(6)
Crystalline MgSb4O8 at its relaxed geometry. Source: the Materials Project database, functional GGA-PBE.

Cell: 17.605 3.176 9.788 Å, 90.00 116.45 90.00°
Space group Cm (No. 8)
Inequivalent atoms, fractional coordinates:
Mg 0.000 0.000 0.000 [2 per cell]
Sb 0.044 0.000 0.698 [2 per cell]
Sb 0.045 0.500 0.341 [2 per cell]
Sb 0.305 0.500 0.995 [2 per cell]
Sb 0.363 0.000 0.681 [2 per cell]
O 0.035 0.500 0.134 [2 per cell]
O 0.041 0.500 0.560 [2 per cell]
O 0.127 0.000 0.422 [2 per cell]
O 0.231 0.000 0.883 [2 per cell]
O 0.369 0.500 0.869 [2 per cell]
O 0.412 0.500 0.593 [2 per cell]
O 0.462 0.500 0.290 [2 per cell]
O 0.488 0.000 0.835 [2 per cell]

Calculated values
As for the MP2020-corrected energy: -163.32 eV per cell. The relative energy among the computed polymorphs comes out at 0 meV per atom. For the maximum piezoelectric response, the calculation gives 0.8 C/m2.


(7)
Crystalline MgSb4O8 at its relaxed geometry. Source: the Materials Project database, functional GGA-PBE.

Cell: 6.8847 6.8847 14.9473 Å, 90.00 90.00 120.00°
Space group R-3m (No. 166, hexagonal axes)
Inequivalent atoms, fractional coordinates:
Mg 0.0000 0.0000 0.0000 [3 per cell]
Sb 0.0000 0.0000 0.5000 [3 per cell]
Sb 0.0000 0.5000 0.5000 [9 per cell]
O 0.0000 0.0000 0.2325 [6 per cell]
O 0.0307 0.5154 0.7561 [18 per cell]

Calculated values
As for the MP2020-corrected energy: -233.15 eV per cell. The relative energy among the computed polymorphs comes out at 303 meV per atom.


(8)
Crystalline SrMgSb2O6 at its relaxed geometry. Source: the Materials Project database, functional GGA-PBE.

Cell: 5.5641 5.5641 6.0642 Å, 90.00 90.00 120.00°
Space group P-31m (No. 162)
Inequivalent atoms, fractional coordinates:
Sr 0.0000 0.0000 0.0000 [1 per cell]
Mg 0.0000 0.0000 0.5000 [1 per cell]
Sb 0.3333 0.6667 0.5000 [2 per cell]
O 0.0000 0.3262 0.3175 [6 per cell]

Calculated values
As for the MP2020-corrected energy: -63.33 eV per cell. The relative energy among the computed polymorphs comes out at 93 meV per atom.


(9)
Crystalline SrMgSb2O6 at its relaxed geometry. Source: the Materials Project database, functional GGA-PBE.

Cell: 5.714 9.880 5.392 Å, 90.00 90.03 90.00°
Space group C2 (No. 5)
Inequivalent atoms, fractional coordinates:
Sr 0.000 0.000 0.000 [2 per cell]
Mg 0.000 0.666 0.000 [2 per cell]
Sb 0.000 0.334 0.500 [2 per cell]
Sb 0.000 0.667 0.500 [2 per cell]
O 0.124 0.524 0.733 [4 per cell]
O 0.154 0.801 0.733 [4 per cell]
O 0.223 0.177 0.733 [4 per cell]

Calculated values
As for the MP2020-corrected energy: -128.51 eV per cell. The relative energy among the computed polymorphs comes out at 0 meV per atom.


(10)
Crystalline Sr2YMgSbO6 at its relaxed geometry. Source: the Materials Project database, functional GGA-PBE.

Cell: 6.1890 6.1890 19.7670 Å, 90.00 90.00 120.00°
Space group R3m (No. 160, hexagonal axes)
Inequivalent atoms, fractional coordinates:
Sr 0.0000 0.0000 0.0000 [3 per cell]
Sr 0.0000 0.0000 0.4483 [3 per cell]
Y 0.0000 0.0000 0.2841 [3 per cell]
Mg 0.0000 0.0000 0.6922 [3 per cell]
Sb 0.0000 0.0000 0.8402 [3 per cell]
O 0.0206 0.5103 0.0301 [9 per cell]
O 0.0289 0.5144 0.5610 [9 per cell]

Calculated values
As for the MP2020-corrected energy: -226.78 eV per cell. The relative energy among the computed polymorphs comes out at 0 meV per atom.


(11)
Crystalline Sr2YMgSbO6 at its relaxed geometry. Source: the Materials Project database, functional GGA-PBE.

Cell: 6.092 6.247 9.678 Å, 90.00 90.00 90.00°
Space group Immm (No. 71)
Inequivalent atoms, fractional coordinates:
Sr 0.000 0.000 0.182 [4 per cell]
Y 0.000 0.500 0.000 [2 per cell]
Mg 0.000 0.000 0.500 [2 per cell]
Sb 0.000 0.500 0.500 [2 per cell]
O 0.000 0.500 0.248 [4 per cell]
O 0.238 0.238 0.500 [8 per cell]

Calculated values
As for the MP2020-corrected energy: -144.91 eV per cell. The relative energy among the computed polymorphs comes out at 285 meV per atom.


(12)
Crystalline Mg2TaSbO6 at its relaxed geometry. Source: the Materials Project database, functional GGA-PBE.

Cell: 5.530 7.876 5.562 Å, 90.00 93.03 90.00°
Space group P2_1/m (No. 11)
Inequivalent atoms, fractional coordinates:
Mg 0.010 0.250 0.465 [2 per cell]
Mg 0.484 0.250 0.965 [2 per cell]
Ta 0.000 0.000 0.000 [2 per cell]
Sb 0.500 0.000 0.500 [2 per cell]
O 0.131 0.250 0.082 [2 per cell]
O 0.136 0.570 0.319 [4 per cell]
O 0.305 0.573 0.856 [4 per cell]
O 0.357 0.250 0.610 [2 per cell]

Calculated values
As for the MP2020-corrected energy: -151.08 eV per cell.


(13)
Crystalline Mg2TiSbO6 at its relaxed geometry. Source: the Materials Project database, functional GGA-PBE.

Cell: 5.254 7.772 5.419 Å, 90.00 91.42 90.00°
Space group P2_1/m (No. 11)
Inequivalent atoms, fractional coordinates:
Mg 0.005 0.250 0.038 [2 per cell]
Mg 0.487 0.750 0.437 [2 per cell]
Ti 0.500 0.000 0.000 [2 per cell]
Sb 0.000 0.000 0.500 [2 per cell]
O 0.132 0.250 0.424 [2 per cell]
O 0.187 0.572 0.175 [4 per cell]
O 0.338 0.571 0.685 [4 per cell]
O 0.371 0.250 0.927 [2 per cell]

Calculated values
As for the MP2020-corrected energy: -143.89 eV per cell.


(14)
Crystalline MgSc2O4 at its relaxed geometry. Source: the Materials Project database, functional GGA-PBE.

Cell: 9.329 3.076 10.900 Å, 90.00 90.00 90.00°
Space group Pnma (No. 62)
Inequivalent atoms, fractional coordinates:
Mg 0.243 0.250 0.146 [4 per cell]
Sc 0.070 0.250 0.383 [4 per cell]
Sc 0.085 0.250 0.893 [4 per cell]
O 0.023 0.750 0.786 [4 per cell]
O 0.087 0.250 0.578 [4 per cell]
O 0.132 0.750 0.031 [4 per cell]
O 0.208 0.750 0.313 [4 per cell]

Calculated values
As for the MP2020-corrected energy: -235.51 eV per cell.


(15)
Crystalline Mg4Sc3Si8O24 at its relaxed geometry. Source: the Materials Project database, functional GGA-PBE.

Cell: 5.440 8.979 9.451 Å, 90.00 90.15 90.00°
Space group P2 (No. 3)
Inequivalent atoms, fractional coordinates:
Mg 0.000 0.000 0.000 [1 per cell]
Mg 0.000 0.126 0.500 [1 per cell]
Mg 0.000 0.493 0.500 [1 per cell]
Mg 0.500 0.965 0.500 [1 per cell]
Sc 0.000 0.612 0.000 [1 per cell]
Sc 0.500 0.324 0.500 [1 per cell]
Sc 0.500 0.817 0.000 [1 per cell]
Si 0.175 0.820 0.297 [2 per cell]
Si 0.178 0.318 0.208 [2 per cell]
Si 0.321 0.642 0.705 [2 per cell]
Si 0.323 0.140 0.794 [2 per cell]
O 0.052 0.208 0.849 [2 per cell]
O 0.052 0.712 0.645 [2 per cell]
O 0.155 0.481 0.145 [2 per cell]
O 0.160 0.320 0.384 [2 per cell]
O 0.161 0.828 0.124 [2 per cell]
O 0.186 0.975 0.383 [2 per cell]
O 0.314 0.983 0.880 [2 per cell]
O 0.317 0.486 0.619 [2 per cell]
O 0.321 0.649 0.876 [2 per cell]
O 0.324 0.131 0.619 [2 per cell]
O 0.435 0.236 0.158 [2 per cell]
O 0.446 0.748 0.351 [2 per cell]

Calculated values
As for the MP2020-corrected energy: -316.27 eV per cell.


(16)
Crystalline MgSc2Ti2O7 at its relaxed geometry. Source: the Materials Project database, functional GGA-PBE.

Cell: 6.187 9.230 5.536 Å, 90.00 97.04 90.00°
Space group Cm (No. 8)
Inequivalent atoms, fractional coordinates:
Mg 0.000 0.000 0.000 [2 per cell]
Sc 0.435 0.179 0.114 [4 per cell]
Ti 0.132 0.500 0.702 [2 per cell]
Ti 0.193 0.000 0.510 [2 per cell]
O 0.003 0.500 0.360 [2 per cell]
O 0.126 0.152 0.262 [4 per cell]
O 0.224 0.344 0.938 [4 per cell]
O 0.325 0.000 0.868 [2 per cell]
O 0.424 0.500 0.628 [2 per cell]

Calculated values
As for the MP2020-corrected energy: -209.90 eV per cell. The relative energy among the computed polymorphs comes out at 0 meV per atom.